Mn2Co21B6 | PBE | relaxed

Size of the total moment = 26.17 Bohr magnetons per cell
Crystal system = cubic
Space group = Fm-3m (225)
Formation energy from the elements = -4.7 eV/f.u.
ρ = 8.371 g/cm3

```
29
Lattice="0.000 5.193 5.193 5.193 0.000 5.193 5.193 5.193 0.000" Properties=species:S:1:pos:R:3 pbc="T T T"
Mn 2.597 2.597 2.597
Mn 7.790 7.790 7.790
Co 0.000 0.000 0.000
Co 1.755 1.755 0.000
Co 3.438 3.438 0.000
Co 1.755 0.000 1.755
Co 5.193 3.438 1.755
Co 3.438 0.000 3.438
Co 5.193 6.949 8.632
Co 6.449 3.938 3.938
Co 0.000 1.755 1.755
Co 3.438 5.193 1.755
Co 3.438 1.755 5.193
Co 3.938 3.938 3.938
Co 6.449 6.449 3.938
Co 6.449 3.938 6.449
Co 3.938 6.449 3.938
Co 3.938 3.938 6.449
Co 6.449 6.449 6.449
Co 0.000 3.438 3.438
Co 6.949 5.193 8.632
Co 1.755 3.438 5.193
Co 3.938 6.449 6.449
B 5.193 5.193 2.872
B 5.193 2.872 5.193
B 7.515 5.193 5.193
B 2.872 5.193 5.193
B 5.193 7.515 5.193
B 5.193 5.193 7.515
```